# Li10CoNi9O20, optimized geometry, DFT PBE with a Hubbard U
data_Li10CoNi9O20
_chemical_formula_sum 'Li10 Co1 Ni9 O20'
_cell_length_a 2.911
_cell_length_b 11.034
_cell_length_c 11.612
_cell_angle_alpha 113.76
_cell_angle_beta 90.45
_cell_angle_gamma 97.48
_symmetry_space_group_name_H-M 'P 1'
_symmetry_Int_Tables_number 1
loop_
_symmetry_equiv_pos_as_xyz
'x,y,z'
loop_
_atom_site_label
_atom_site_type_symbol
_atom_site_fract_x
_atom_site_fract_y
_atom_site_fract_z
Li1 Li 0.000 0.000 0.000
Li2 Li 0.008 0.000 0.503
Li3 Li 0.193 0.400 0.902
Li4 Li 0.204 0.399 0.402
Li5 Li 0.385 0.798 0.304
Li6 Li 0.398 0.798 0.802
Li7 Li 0.588 0.199 0.203
Li8 Li 0.600 0.199 0.704
Li9 Li 0.795 0.599 0.101
Li10 Li 0.810 0.597 0.602
Co1 Co 0.422 0.798 0.553
Ni1 Ni 0.193 0.399 0.153
Ni2 Ni 0.230 0.399 0.652
Ni3 Ni 0.369 0.799 0.052
Ni4 Ni 0.597 0.200 0.952
Ni5 Ni 0.624 0.199 0.452
Ni6 Ni 0.792 0.598 0.354
Ni7 Ni 0.799 0.599 0.852
Ni8 Ni 0.973 0.998 0.253
Ni9 Ni 0.999 0.999 0.751
O1 O 0.047 0.192 0.831
O2 O 0.066 0.189 0.330
O3 O 0.148 0.208 0.073
O4 O 0.177 0.208 0.574
O5 O 0.237 0.591 0.234
O6 O 0.267 0.608 0.974
O7 O 0.334 0.591 0.729
O8 O 0.345 0.607 0.475
O9 O 0.424 0.989 0.131
O10 O 0.461 0.008 0.872
O11 O 0.526 0.006 0.375
O12 O 0.538 0.990 0.630
O13 O 0.652 0.406 0.273
O14 O 0.686 0.408 0.775
O15 O 0.734 0.391 0.031
O16 O 0.767 0.390 0.531
O17 O 0.832 0.807 0.174
O18 O 0.909 0.791 0.929
O19 O 0.919 0.792 0.439
O20 O 0.933 0.806 0.667
# formation enthalpy at 0 K	-1520	meV per atom
# M_tot	9.00	μB/f.u.